(1)
Density functional theory data (PBE) for crystalline HoTl at its relaxed geometry.

The calculation puts the formation energy at -315.6 meV per atom. As for the crystal system: cubic.

Cell and atoms, written as POSCAR:
```
HoTl
1.0
-3.6603 0.9748 -0.0727
-0.2550 -1.2243 -3.5763
-0.9436 -3.4503 1.2485
Tl Ho
1 1
Cartesian
-2.4295 -1.8499 -1.2002
0.0000 0.0000 0.0000
```

=====

(2)
Density functional theory data (PBE) for crystalline Ti5Sb2Rh at its relaxed geometry.

The calculation puts the formation energy at -515.0 meV per atom. As for the crystal system: tetragonal. The calculation puts the total magnetization at 0.0 μB/cell.

Cell and atoms, written as POSCAR:
```
Ti5Sb2Rh
1.0
-0.5552 -3.2812 -7.1309
0.4657 -1.9320 7.6141
-7.3574 2.7797 0.2550
Sb Ti Rh
4 10 2
Cartesian
-3.6127 0.2034 1.5254
-1.0717 -2.2393 4.0139
-6.3752 -0.1942 -3.2756
-3.8343 -2.6369 -0.7871
-2.1734 -0.0435 -0.8722
-6.2397 0.3410 2.5232
-1.2072 -2.7745 -1.7849
-1.4276 -3.0658 -4.9678
-3.9787 -1.5541 -3.3171
-5.3692 0.0312 -0.6578
-3.4682 -0.8795 4.0554
-5.2736 -2.3900 1.6105
-6.0193 0.6322 5.7061
-2.0778 -2.4647 1.3961
-0.0671 -3.9099 0.3624
-0.0224 -1.3033 0.1208
```